# LiFeSiO4

A geometry-optimized LiFeSiO4 structure (GGA+U, the Materials Project database).

Summary:
Energy of formation from the pure elements = -2.449 eV/atom
Space group = P31c
Calculated density = 3292 kg/m³
Total moment = 5.000 μB/f.u.

Cell lengths 7.499, 7.499, 9.622 Å; angles 90.00, 90.00, 120.00 degrees
Fractional coordinates of all 42 atoms:
Li  0.205  0.947  0.252
Li  0.053  0.257  0.252
Li  0.257  0.053  0.752
Li  0.743  0.795  0.252
Li  0.795  0.743  0.752
Li  0.947  0.205  0.752
Fe  0.059  0.601  0.472
Fe  0.542  0.941  0.472
Fe  0.399  0.458  0.472
Fe  0.458  0.399  0.972
Fe  0.601  0.059  0.972
Fe  0.941  0.542  0.972
Si  0.333  0.667  0.169
Si  0.000  0.000  0.006
Si  0.000  0.000  0.506
Si  0.333  0.667  0.777
Si  0.667  0.333  0.669
Si  0.667  0.333  0.277
O  0.110  0.872  0.442
O  0.138  0.689  0.117
O  0.406  0.901  0.829
O  0.099  0.505  0.829
O  0.311  0.449  0.117
O  0.333  0.667  0.345
O  0.000  0.000  0.173
O  0.000  0.000  0.673
O  0.333  0.667  0.600
O  0.128  0.238  0.442
O  0.551  0.862  0.117
O  0.238  0.128  0.942
O  0.495  0.594  0.829
O  0.762  0.890  0.442
O  0.449  0.311  0.617
O  0.505  0.099  0.329
O  0.594  0.495  0.329
O  0.862  0.551  0.617
O  0.667  0.333  0.845
O  0.667  0.333  0.100
O  0.890  0.762  0.942
O  0.689  0.138  0.617
O  0.901  0.406  0.329
O  0.872  0.110  0.942

=====

# Li3Fe3SiO8

A geometry-optimized Li3Fe3SiO8 structure (GGA+U, the Materials Project database).

Summary:
Energy of formation from the pure elements = -2.147 eV/atom
Space group = P2/m
Calculated density = 3927 kg/m³
Total moment = 14.999 μB/f.u.

Cell lengths 5.830, 5.083, 5.186 Å; angles 71.39, 90.00, 90.00 degrees
Fractional coordinates of all 15 atoms:
Li  0.500  0.000  0.000
Li  0.762  0.500  0.000
Li  0.238  0.500  0.000
Fe  0.754  0.000  0.500
Fe  0.246  0.000  0.500
Fe  0.500  0.500  0.500
Si  0.000  0.500  0.500
O  0.000  0.723  0.704
O  0.768  0.719  0.292
O  0.500  0.768  0.735
O  0.768  0.281  0.708
O  0.232  0.719  0.292
O  0.000  0.277  0.296
O  0.500  0.232  0.265
O  0.232  0.281  0.708

=====

# LiFeSiO4

A geometry-optimized LiFeSiO4 structure (GGA+U, the Materials Project database).

Summary:
Energy of formation from the pure elements = -2.445 eV/atom
Space group = P2_1/c
Calculated density = 3058 kg/m³
Total moment = 5.000 μB/f.u.

Cell lengths 6.168, 5.420, 10.694 Å; angles 70.23, 90.00, 90.00 degrees
Fractional coordinates of all 28 atoms:
Li  0.580  0.465  0.279
Li  0.080  0.535  0.221
Li  0.920  0.465  0.779
Li  0.420  0.535  0.721
Fe  0.649  0.943  0.895
Fe  0.149  0.057  0.605
Fe  0.851  0.943  0.395
Fe  0.351  0.057  0.105
Si  0.638  0.116  0.631
Si  0.138  0.884  0.869
Si  0.862  0.116  0.131
Si  0.362  0.884  0.369
O  0.660  0.276  0.740
O  0.129  0.186  0.759
O  0.421  0.212  0.540
O  0.854  0.152  0.532
O  0.354  0.848  0.968
O  0.921  0.788  0.960
O  0.840  0.276  0.240
O  0.371  0.186  0.259
O  0.629  0.814  0.741
O  0.160  0.724  0.760
O  0.079  0.212  0.040
O  0.646  0.152  0.032
O  0.146  0.848  0.468
O  0.579  0.788  0.460
O  0.871  0.814  0.241
O  0.340  0.724  0.260

=====

# Li4Fe3Si3O12

A geometry-optimized Li4Fe3Si3O12 structure (GGA+U, the Materials Project database).

Summary:
Energy of formation from the pure elements = -2.453 eV/atom
Space group = P1
Calculated density = 3031 kg/m³
Total moment = 14.000 μB/f.u.

Cell lengths 4.358, 11.937, 5.509 Å; angles 83.57, 66.57, 79.60 degrees
Fractional coordinates of all 22 atoms:
Li  0.325  0.425  0.915
Li  0.008  0.249  0.745
Li  0.329  0.918  0.425
Li  0.004  0.745  0.246
Fe  0.667  0.833  0.835
Fe  0.003  0.505  0.492
Fe  0.331  0.164  0.173
Si  0.331  0.669  0.663
Si  0.674  0.331  0.334
Si  0.995  0.999  0.004
O  0.193  0.111  0.918
O  0.536  0.559  0.762
O  0.975  0.719  0.916
O  0.317  0.363  0.588
O  0.937  0.955  0.752
O  0.557  0.781  0.565
O  0.235  0.644  0.420
O  0.227  0.891  0.107
O  0.910  0.222  0.433
O  0.619  0.031  0.241
O  0.901  0.433  0.214
O  0.594  0.287  0.085

=====

# LiFeSiO4

A geometry-optimized LiFeSiO4 structure (GGA+U, the Materials Project database).

Summary:
Energy of formation from the pure elements = -2.507 eV/atom
Space group = Pc
Calculated density = 2843 kg/m³
Total moment = 5.000 μB/f.u.

Cell lengths 5.336, 8.288, 8.499 Å; angles 74.30, 90.00, 90.00 degrees
Fractional coordinates of all 28 atoms:
Li  0.850  0.029  0.077
Li  0.334  0.496  0.285
Li  0.150  0.029  0.577
Li  0.666  0.496  0.785
Fe  0.336  0.135  0.210
Fe  0.827  0.632  0.381
Fe  0.664  0.135  0.710
Fe  0.173  0.632  0.881
Si  0.671  0.753  0.006
Si  0.832  0.260  0.331
Si  0.329  0.753  0.506
Si  0.168  0.260  0.831
O  0.184  0.122  0.013
O  0.382  0.683  0.041
O  0.686  0.182  0.197
O  0.132  0.295  0.281
O  0.786  0.786  0.175
O  0.692  0.434  0.342
O  0.816  0.122  0.513
O  0.171  0.615  0.436
O  0.292  0.940  0.380
O  0.618  0.683  0.541
O  0.314  0.182  0.697
O  0.868  0.295  0.781
O  0.214  0.786  0.675
O  0.308  0.434  0.842
O  0.829  0.615  0.936
O  0.708  0.940  0.880

=====

# LiFeSiO4

A geometry-optimized LiFeSiO4 structure (GGA+U, the Materials Project database).

Summary:
Energy of formation from the pure elements = -2.504 eV/atom
Space group = P2_12_12_1
Calculated density = 2670 kg/m³
Total moment = 0.000 μB/f.u.
Maximum piezoelectric response = 0.111 C/m²

Cell lengths 7.278, 7.276, 7.274 Å; angles 90.00, 90.00, 90.00 degrees
Fractional coordinates of all 28 atoms:
Li  0.749  0.250  0.250
Li  0.251  0.750  0.250
Li  0.751  0.750  0.750
Li  0.249  0.250  0.750
Fe  0.806  0.194  0.694
Fe  0.194  0.694  0.806
Fe  0.694  0.806  0.194
Fe  0.306  0.306  0.306
Si  0.032  0.032  0.032
Si  0.532  0.468  0.968
Si  0.968  0.532  0.468
Si  0.468  0.968  0.532
O  0.161  0.160  0.160
O  0.839  0.660  0.340
O  0.339  0.840  0.660
O  0.661  0.340  0.840
O  0.620  0.677  0.977
O  0.523  0.379  0.177
O  0.823  0.023  0.120
O  0.177  0.523  0.380
O  0.477  0.879  0.323
O  0.380  0.177  0.523
O  0.880  0.323  0.477
O  0.977  0.621  0.677
O  0.677  0.977  0.620
O  0.323  0.477  0.880
O  0.023  0.121  0.823
O  0.120  0.823  0.023

=====

Q: What is the total moment in the first record?
A: 5.000 μB/f.u.